No. 1
Below is a geometry-optimized GdY3V4O16 structure, with properties calculated at the PBE+U level.

Summary:
**Symmetry**: C222, No. 21
**Calculated formation energy**: -307.51 kJ/mol of atoms

Unit cell a=6.0343 b=6.0343 c=10.2391 alpha=90.00 beta=90.00 gamma=116.07
Fractional positions:
Gd1 0.0000 0.0000 0.0000
Y1 0.0000 0.5000 0.2503
Y2 0.5000 0.0000 0.7497
Y3 0.5000 0.5000 0.5000
V1 0.0000 0.0000 0.5000
V2 0.0000 0.5000 0.7488
V3 0.5000 0.0000 0.2512
V4 0.5000 0.5000 0.0000
O1 0.0819 0.2668 0.4075
O2 0.0831 0.7664 0.8415
O3 0.2341 0.4198 0.0928
O4 0.2336 0.9169 0.1585
O5 0.2668 0.0819 0.5925
O6 0.2674 0.5819 0.6571
O7 0.4181 0.7326 0.3429
O8 0.4198 0.2341 0.9072
O9 0.5802 0.7659 0.9072
O10 0.5819 0.2674 0.3429
O11 0.7326 0.4181 0.6571
O12 0.7332 0.9181 0.5925
O13 0.7664 0.0831 0.1585
O14 0.7659 0.5802 0.0928
O15 0.9169 0.2336 0.8415
O16 0.9181 0.7332 0.4075



No. 2
Below is a geometry-optimized Gd2W3O12 structure, with properties calculated at the PBE+U level.

Summary:
**Symmetry**: P2_1/c, No. 14
**Calculated formation energy**: -263.91 kJ/mol of atoms
**Energy above the lowest structure with this stoichiometry**: 0.00 eV/f.u.

Unit cell a=10.2568 b=10.3714 c=17.5144 alpha=90.00 beta=125.45 gamma=90.00
Fractional positions:
Gd1 0.1334 0.0294 0.3814
Gd2 0.1334 0.4706 0.8814
Gd3 0.3622 0.0337 0.1181
Gd4 0.3622 0.4663 0.6181
Gd5 0.6378 0.5337 0.3819
Gd6 0.6378 0.9663 0.8819
Gd7 0.8666 0.5294 0.1186
Gd8 0.8666 0.9706 0.6186
W1 0.0259 0.7488 0.9999
W2 0.0259 0.7512 0.4999
W3 0.2534 0.1196 0.8567
W4 0.2534 0.3804 0.3567
W5 0.4647 0.6201 0.8573
W6 0.4647 0.8799 0.3573
W7 0.5353 0.1201 0.6427
W8 0.5353 0.3799 0.1427
W9 0.7466 0.6196 0.6433
W10 0.7466 0.8804 0.1433
W11 0.9741 0.2488 0.5001
W12 0.9741 0.2512 0.0001
O1 0.0039 0.6571 0.0800
O2 0.0039 0.8429 0.5800
O3 0.0855 0.6427 0.9432
O4 0.0855 0.8573 0.4432
O5 0.0896 0.0226 0.7644
O6 0.0896 0.4774 0.2644
O7 0.1635 0.1764 0.0880
O8 0.1635 0.3236 0.5880
O9 0.1763 0.6274 0.5644
O10 0.1763 0.8726 0.0644
O11 0.2009 0.2107 0.3338
O12 0.2009 0.2893 0.8338
O13 0.2881 0.0781 0.9675
O14 0.2881 0.4219 0.4675
O15 0.3002 0.5989 0.8678
O16 0.3002 0.9011 0.3678
O17 0.3504 0.0740 0.5338
O18 0.3504 0.4260 0.0338
O19 0.4335 0.0899 0.8628
O20 0.4335 0.4101 0.3628
O21 0.4328 0.5191 0.7635
O22 0.4328 0.9809 0.2635
O23 0.4750 0.7120 0.3324
O24 0.4750 0.7880 0.8324
O25 0.5250 0.2120 0.1676
O26 0.5250 0.2880 0.6676
O27 0.5672 0.0191 0.7365
O28 0.5672 0.4809 0.2365
O29 0.5665 0.5899 0.6372
O30 0.5665 0.9101 0.1372
O31 0.6496 0.5740 0.9662
O32 0.6496 0.9260 0.4662
O33 0.6998 0.0989 0.6322
O34 0.6998 0.4011 0.1322
O35 0.7119 0.5781 0.5325
O36 0.7119 0.9219 0.0325
O37 0.7991 0.7107 0.1662
O38 0.7991 0.7893 0.6662
O39 0.8237 0.1274 0.9356
O40 0.8237 0.3726 0.4356
O41 0.8365 0.6764 0.4120
O42 0.8365 0.8236 0.9120
O43 0.9104 0.5226 0.7356
O44 0.9104 0.9774 0.2356
O45 0.9145 0.1427 0.5568
O46 0.9145 0.3573 0.0568
O47 0.9961 0.1571 0.4200
O48 0.9961 0.3429 0.9200



No. 3
Below is a geometry-optimized Gd2W3O12 structure, with properties calculated at the PBE+U level.

Summary:
**Symmetry**: C2/c, No. 15
**Calculated formation energy**: -262.47 kJ/mol of atoms
**Energy above the lowest structure with this stoichiometry**: 0.25 eV/f.u.

Unit cell a=7.0045 b=7.0045 c=11.5371 alpha=100.84 beta=100.84 gamma=112.22
Fractional positions:
Gd1 0.0520 0.3066 0.0947
Gd2 0.3066 0.0520 0.5947
Gd3 0.6934 0.9480 0.4053
Gd4 0.9480 0.6934 0.9053
W1 0.1181 0.8819 0.2500
W2 0.2028 0.4915 0.4521
W3 0.4915 0.2028 0.9521
W4 0.5085 0.7972 0.0479
W5 0.7972 0.5085 0.5479
W6 0.8819 0.1181 0.7500
O1 0.0118 0.5946 0.2201
O2 0.0265 0.9475 0.1083
O3 0.0525 0.9735 0.3917
O4 0.1018 0.6757 0.5763
O5 0.2045 0.3508 0.3021
O6 0.2219 0.6221 0.0378
O7 0.3243 0.8982 0.9237
O8 0.3268 0.3938 0.5615
O9 0.3508 0.2045 0.8021
O10 0.3779 0.7781 0.4622
O11 0.3938 0.3268 0.0615
O12 0.4054 0.9882 0.2799
O13 0.5946 0.0118 0.7201
O14 0.6062 0.6732 0.9385
O15 0.6221 0.2219 0.5378
O16 0.6492 0.7955 0.1979
O17 0.6732 0.6062 0.4385
O18 0.6757 0.1018 0.0763
O19 0.7781 0.3779 0.9622
O20 0.7955 0.6492 0.6979
O21 0.8982 0.3243 0.4237
O22 0.9475 0.0265 0.6083
O23 0.9735 0.0525 0.8917
O24 0.9882 0.4054 0.7799



No. 4
Below is a geometry-optimized Gd2W3O12 structure, with properties calculated at the PBE+U level.

Summary:
**Symmetry**: Pba2, No. 32
**Calculated formation energy**: -202.92 kJ/mol of atoms
**Energy above the lowest structure with this stoichiometry**: 10.75 eV/f.u.

Unit cell a=10.5861 b=10.6099 c=10.8709 alpha=90.00 beta=90.00 gamma=90.00
Fractional positions:
Gd1 0.0063 0.1887 0.0000
Gd2 0.1891 0.5040 0.4752
Gd3 0.3109 0.0040 0.4752
Gd4 0.4937 0.6887 0.0000
Gd5 0.5063 0.3113 0.0000
Gd6 0.6891 0.9960 0.4752
Gd7 0.8109 0.4960 0.4752
Gd8 0.9937 0.8113 0.0000
W1 0.0033 0.7936 0.3804
W2 0.2056 0.5116 0.0943
W3 0.2428 0.7564 0.7374
W4 0.2572 0.2564 0.7374
W5 0.2944 0.0116 0.0943
W6 0.4967 0.2936 0.3804
W7 0.5033 0.7064 0.3804
W8 0.7056 0.9884 0.0943
W9 0.7428 0.7436 0.7374
W10 0.7572 0.2436 0.7374
W11 0.7944 0.4884 0.0943
W12 0.9967 0.2064 0.3804
O1 0.0068 0.3729 0.4279
O2 0.0206 0.1943 0.2165
O3 0.1135 0.3845 0.0294
O4 0.1177 0.1154 0.4571
O5 0.1230 0.8297 0.8320
O6 0.1277 0.9938 0.0482
O7 0.1431 0.1801 0.8368
O8 0.1553 0.6653 0.0423
O9 0.1604 0.8463 0.4195
O10 0.1693 0.6413 0.6374
O11 0.1817 0.3752 0.6428
O12 0.1927 0.5111 0.2595
O13 0.3073 0.0111 0.2595
O14 0.3183 0.8752 0.6428
O15 0.3307 0.1413 0.6374
O16 0.3396 0.3463 0.4195
O17 0.3447 0.1653 0.0423
O18 0.3569 0.6801 0.8368
O19 0.3723 0.4938 0.0482
O20 0.3770 0.3297 0.8320
O21 0.3823 0.6154 0.4571
O22 0.3865 0.8845 0.0294
O23 0.4794 0.6943 0.2165
O24 0.4932 0.8729 0.4279
O25 0.5068 0.1271 0.4279
O26 0.5206 0.3057 0.2165
O27 0.6135 0.1155 0.0294
O28 0.6177 0.3846 0.4571
O29 0.6230 0.6703 0.8320
O30 0.6277 0.5062 0.0482
O31 0.6431 0.3199 0.8368
O32 0.6553 0.8347 0.0423
O33 0.6604 0.6537 0.4195
O34 0.6693 0.8587 0.6374
O35 0.6817 0.1248 0.6428
O36 0.6927 0.9889 0.2595
O37 0.8073 0.4889 0.2595
O38 0.8183 0.6248 0.6428
O39 0.8307 0.3587 0.6374
O40 0.8396 0.1537 0.4195
O41 0.8447 0.3347 0.0423
O42 0.8569 0.8199 0.8368
O43 0.8723 0.0062 0.0482
O44 0.8770 0.1703 0.8320
O45 0.8823 0.8846 0.4571
O46 0.8865 0.6155 0.0294
O47 0.9794 0.8057 0.2165
O48 0.9932 0.6271 0.4279



No. 5
Below is a geometry-optimized GdYW3O12 structure, with properties calculated at the PBE+U level.

Summary:
**Symmetry**: C2, No. 5
**Calculated formation energy**: -262.98 kJ/mol of atoms

Unit cell a=6.9811 b=6.9811 c=11.4644 alpha=100.85 beta=100.85 gamma=111.74
Fractional positions:
Gd1 0.1643 0.1643 0.3442
Gd2 0.8357 0.8357 0.6558
Y1 0.5892 0.0813 0.1561
Y2 0.9187 0.4108 0.8439
W1 0.0103 0.9897 0.0000
W2 0.1245 0.5827 0.2018
W3 0.3382 0.3731 0.7046
W4 0.4173 0.8755 0.7982
W5 0.6269 0.6618 0.2954
W6 0.7433 0.2567 0.5000
O1 0.0022 0.3314 0.4715
O2 0.0621 0.2063 0.7143
O3 0.0833 0.2474 0.9696
O4 0.1074 0.7886 0.3122
O5 0.2114 0.8926 0.6878
O6 0.2176 0.0415 0.1428
O7 0.2693 0.5956 0.8232
O8 0.3342 0.2273 0.5529
O9 0.3476 0.5163 0.3210
O10 0.4044 0.7307 0.1768
O11 0.4225 0.0212 0.9502
O12 0.4837 0.6524 0.6790
O13 0.5392 0.2047 0.3554
O14 0.5460 0.3584 0.8150
O15 0.6416 0.4540 0.1850
O16 0.6686 0.9978 0.5285
O17 0.6918 0.0440 0.7873
O18 0.7526 0.9167 0.0304
O19 0.7727 0.6658 0.4471
O20 0.7937 0.9379 0.2857
O21 0.7953 0.4608 0.6446
O22 0.9560 0.3082 0.2127
O23 0.9585 0.7824 0.8572
O24 0.9788 0.5775 0.0498



No. 6
Below is a geometry-optimized Mn4GeP4H12O22 structure, with properties calculated at the PBE+U level.

Summary:
**Symmetry**: P2_1/c, No. 14
**Calculated formation energy**: -191.74 kJ/mol of atoms

Unit cell a=6.6484 b=16.6485 c=9.4113 alpha=90.00 beta=124.54 gamma=90.00
Fractional positions:
Mn1 0.0925 0.1383 0.2595
Mn2 0.0925 0.3617 0.7595
Mn3 0.3796 0.7306 0.9776
Mn4 0.3796 0.7694 0.4776
Mn5 0.6204 0.2306 0.5224
Mn6 0.6204 0.2694 0.0224
Mn7 0.9075 0.6383 0.2405
Mn8 0.9075 0.8617 0.7405
Ge1 0.0000 0.0000 0.5000
Ge2 0.0000 0.5000 0.0000
P1 0.1862 0.1870 0.6277
P2 0.1862 0.3130 0.1277
P3 0.4315 0.6092 0.2846
P4 0.4315 0.8908 0.7846
P5 0.5685 0.1092 0.2154
P6 0.5685 0.3908 0.7154
P7 0.8138 0.6870 0.8723
P8 0.8138 0.8130 0.3723
H1 0.0600 0.6680 0.6569
H2 0.0600 0.8320 0.1569
H3 0.1382 0.5970 0.7885
H4 0.1382 0.9030 0.2885
H5 0.2038 0.5105 0.4682
H6 0.2038 0.9895 0.9682
H7 0.2135 0.5847 0.5792
H8 0.2135 0.9153 0.0792
H9 0.3483 0.0215 0.5019
H10 0.3483 0.4785 0.0019
H11 0.3651 0.1224 0.9324
H12 0.3651 0.3776 0.4324
H13 0.6349 0.6224 0.5676
H14 0.6349 0.8776 0.0676
H15 0.6517 0.5215 0.9981
H16 0.6517 0.9785 0.4981
H17 0.7865 0.0847 0.9208
H18 0.7865 0.4153 0.4208
H19 0.7962 0.0105 0.0318
H20 0.7962 0.4895 0.5318
H21 0.8618 0.0970 0.7115
H22 0.8618 0.4030 0.2115
H23 0.9400 0.1680 0.8431
H24 0.9400 0.3320 0.3431
O1 0.0031 0.2449 0.0965
O2 0.0031 0.2551 0.5965
O3 0.0321 0.1077 0.5782
O4 0.0321 0.3923 0.0782
O5 0.1291 0.5627 0.4621
O6 0.1291 0.9373 0.9621
O7 0.1783 0.0209 0.4027
O8 0.1783 0.4791 0.9027
O9 0.2029 0.6399 0.7524
O10 0.2029 0.8601 0.2524
O11 0.2667 0.6734 0.2864
O12 0.2667 0.8266 0.7864
O13 0.2795 0.1993 0.5112
O14 0.2795 0.3007 0.0112
O15 0.2996 0.5267 0.2161
O16 0.2996 0.9733 0.7161
O17 0.3472 0.0916 0.0211
O18 0.3472 0.4084 0.5211
O19 0.3984 0.1813 0.8208
O20 0.3984 0.3187 0.3208
O21 0.4635 0.1367 0.3173
O22 0.4635 0.3633 0.8173
O23 0.5365 0.6367 0.1827
O24 0.5365 0.8633 0.6827
O25 0.6016 0.6813 0.6792
O26 0.6016 0.8187 0.1792
O27 0.6528 0.5916 0.4789
O28 0.6528 0.9084 0.9789
O29 0.7004 0.0267 0.2839
O30 0.7004 0.4733 0.7839
O31 0.7205 0.6993 0.9888
O32 0.7205 0.8007 0.4888
O33 0.7333 0.1734 0.2136
O34 0.7333 0.3266 0.7136
O35 0.7971 0.1399 0.7476
O36 0.7971 0.3601 0.2476
O37 0.8217 0.5209 0.0973
O38 0.8217 0.9791 0.5973
O39 0.8709 0.0627 0.0379
O40 0.8709 0.4373 0.5379
O41 0.9679 0.6077 0.9218
O42 0.9679 0.8923 0.4218
O43 0.9969 0.7449 0.4035
O44 0.9969 0.7551 0.9035